[1]
! WF4, optimized geometry, DFT meta-GGA r2SCAN; values from VASP
&SYSTEM
  ibrav = 0, nat = 10, ntyp = 2
/
ATOMIC_SPECIES
W 183.84 W.upf
F 19.00 F.upf
CELL_PARAMETERS angstrom
5.013 0.000 0.000
0.023 5.316 0.000
0.024 2.276 4.952
ATOMIC_POSITIONS angstrom
W 0.000 0.000 0.000
W 2.530 3.796 2.476
F 0.844 1.610 0.548
F 0.946 2.783 3.163
F 1.603 4.299 0.689
F 1.695 5.409 3.029
F 3.364 2.184 1.923
F 3.456 3.294 4.263
F 4.113 4.810 1.789
F 4.215 5.983 4.403
! Space-group type   P-1 (2)

[2]
! WF6, optimized geometry, DFT meta-GGA r2SCAN; values from VASP
&SYSTEM
  ibrav = 0, nat = 28, ntyp = 2
/
ATOMIC_SPECIES
W 183.84 W.upf
F 19.00 F.upf
CELL_PARAMETERS angstrom
9.385 0.000 0.000
0.000 8.539 0.000
0.000 0.000 4.962
ATOMIC_POSITIONS angstrom
W 1.200 2.135 0.412
W 3.493 6.404 2.893
W 5.893 2.135 2.069
W 8.185 6.404 4.550
F 0.115 2.135 3.875
F 0.135 0.831 1.184
F 0.135 3.439 1.184
F 2.261 0.825 4.611
F 2.261 3.444 4.611
F 2.288 2.135 1.913
F 2.405 6.404 4.395
F 2.432 5.094 2.130
F 2.432 7.714 2.130
F 4.557 5.100 3.666
F 4.557 7.708 3.666
F 4.578 6.404 1.393
F 4.807 2.135 3.569
F 4.828 0.831 1.297
F 4.828 3.439 1.297
F 6.953 0.825 2.832
F 6.953 3.444 2.832
F 6.980 2.135 0.568
F 7.097 6.404 3.049
F 7.125 5.094 0.351
F 7.125 7.714 0.351
F 9.250 5.100 3.778
F 9.250 7.708 3.778
F 9.270 6.404 1.088
! Space-group type   Pnma (62)

no.,energy of formation (eV/f.u.),DFT total energy (eV/atom)
1,-12.0,-15.179
2,-19.6,-12.811